{
  "formula": "Sm3Pd4",
  "functional": "meta-GGA r2SCAN",
  "state": "optimized geometry",
  "cell": [[0.000, 0.000, -5.777], [0.000, -7.785, 1.926], [-6.742, 3.892, 1.926]],
  "species": ["Sm", "Pd", "Sm", "Pd", "Pd", "Pd", "Sm", "Pd", "Pd", "Sm", "Sm", "Sm", "Pd", "Pd"],
  "fractional_positions": [[0.594, 0.874, 0.623], [0.447, 0.505, 0.670], [0.972, 0.377, 0.252], [0.777, 0.330, 0.835], [0.553, 0.495, 0.330], [0.941, 0.165, 0.495], [0.406, 0.126, 0.377], [0.059, 0.835, 0.505], [0.500, 0.000, 0.000], [0.280, 0.252, 0.874], [0.028, 0.623, 0.748], [0.720, 0.748, 0.126], [0.223, 0.670, 0.165], [0.000, 0.000, 0.000]],
  "space_group": "R-3, No. 148",
  "final_energy_ev_per_cell": -374.5,
  "total_magnetization_mub_per_cell": 0.0
}